ScZnPt: relaxed, GGA-PBE.

- DFT formation energy (eV/atom) = -0.941
- theoretical density (g/cm3) = 9.6
- electronic total energy (eV per atom) = -5.496

Cell lengths 4.294, 9.260, 5.302 Å; angles 90.00, 90.00, 90.00 degrees
Space group Cmcm (No. 63)
Asymmetric unit:
1 Sc 0.000 0.209 0.250 [4 per cell]
2 Zn 0.000 0.500 0.000 [4 per cell]
3 Pt 0.000 0.099 0.750 [4 per cell]